Density functional theory data (PBE with a Hubbard U) for a relaxed Li8Mn5Fe3B8O24 crystal.

Its space-group type is P1 (1). The magnetization is 37.0 μB per cell. For the energy above the most stable polymorph in this dataset, the calculation gives 2 kJ/mol of formula units. The calculation puts the energy with MP2020 corrections at -7.83 eV per atom. As for the energy of formation from the pure elements: -2.44 eV per atom.

a = 5.2360 Å, b = 5.2489 Å, c = 20.9493 Å
α = 90.71°, β = 90.93°, γ = 119.90°
With the nearest neighbours (Å) after each atom.
Fractional coordinates of all 48 atoms:
Mn (0.0031, 0.6682, 0.6927)  5 O 2.08-2.31
O (0.0375, 0.4238, 0.9224)  1 B 1.41
O (0.2471, 0.9298, 0.4591)  1 B 1.39
O (0.6421, 0.7303, 0.6810)  1 B 1.39
Fe (0.0027, 0.6675, 0.1909)  4 O 2.02-2.24
O (0.4219, 0.0364, 0.6734)  1 B 1.40
Mn (0.0028, 0.3255, 0.3159)  5 O 2.09-2.31
O (0.7467, 0.0705, 0.5479)  1 B 1.40
O (0.2706, 0.3582, 0.0571)  1 B 1.39
O (0.6556, 0.7399, 0.1808)  1 B 1.38
B (0.9978, 0.3415, 0.5630)  3 O 1.38-1.40
O (0.7308, 0.6414, 0.4304)  1 B 1.38
O (0.3688, 0.2719, 0.3050)  1 B 1.39
O (0.2475, 0.9299, 0.9593)  1 B 1.39
O (0.0377, 0.4229, 0.4224)  1 B 1.41
B (0.0040, 0.6659, 0.4378)  3 O 1.38-1.41
B (0.3391, 0.9967, 0.8133)  3 O 1.39-1.40
Li (0.3376, 0.3480, 0.4587)  4 O 1.94-2.08
Li (0.3370, 0.3462, 0.9587)  4 O 1.95-2.10
O (0.7413, 0.0726, 0.0494)  1 B 1.39
O (0.9294, 0.2459, 0.7096)  1 B 1.39
O (0.9317, 0.2577, 0.2068)  1 B 1.40
Li (0.6526, 0.6776, 0.0838)  4 O 1.93-2.05
B (0.0051, 0.6674, 0.9379)  3 O 1.38-1.41
B (0.6675, 0.0082, 0.1869)  3 O 1.38-1.40
O (0.9787, 0.5844, 0.0826)  1 B 1.40
O (0.5851, 0.9782, 0.8321)  1 B 1.39
B (0.6662, 0.0042, 0.6887)  3 O 1.39-1.40
B (0.3400, 0.9963, 0.3119)  3 O 1.39-1.40
Li (0.6515, 0.6790, 0.5841)  4 O 1.91-2.05
O (0.3592, 0.2702, 0.8065)  1 B 1.39
O (0.0689, 0.7466, 0.2966)  1 B 1.40
Fe (0.0058, 0.3193, 0.8165)  3 O 2.01-2.11
O (0.5782, 0.9671, 0.3328)  1 B 1.40
O (0.4182, 0.0312, 0.1729)  1 B 1.40
Fe (0.3156, 0.9980, 0.0672)  4 O 2.03-2.25
B (0.9967, 0.3376, 0.0636)  3 O 1.39-1.40
Mn (0.6707, 0.0030, 0.4414)  5 O 2.08-2.30
Li (0.6784, 0.6508, 0.3334)  4 O 1.91-2.05
O (0.9668, 0.5787, 0.5839)  1 B 1.40
Mn (0.3227, 0.0029, 0.5668)  5 O 2.09-2.28
Li (0.6772, 0.6520, 0.8343)  4 O 1.93-2.04
O (0.7308, 0.6432, 0.9308)  1 B 1.38
Mn (0.6719, 0.0066, 0.9419)  5 O 2.09-2.33
O (0.0702, 0.7418, 0.7994)  1 B 1.40
Li (0.3465, 0.3372, 0.7084)  4 O 1.95-2.09
O (0.2727, 0.3711, 0.5558)  1 B 1.38
Li (0.3511, 0.3377, 0.2081)  4 O 1.95-2.07



Density functional theory data (PBE with a Hubbard U) for a relaxed VClO crystal.

The calculation puts the energy with MP2020 corrections at -7.28 eV per atom. As for the energy of formation from the pure elements: -1.99 eV per atom.

a = 3.3839 Å, b = 7.6959 Å, c = 8.6157 Å
α = 90.16°, β = 90.06°, γ = 90.00°
With the nearest neighbours (Å) after each atom.
Fractional coordinates of all 12 atoms:
Cl (0.7508, 0.3754, 0.3075)  2 V 2.41
Cl (0.2492, 0.1246, 0.6925)  2 V 2.41
V (0.2503, 0.3755, 0.1075)  4 O 2.00-2.12
Cl (0.7507, 0.8754, 0.3075)  2 V 2.41-2.42
Cl (0.2493, 0.6246, 0.6925)  2 V 2.41-2.42
V (0.2503, 0.8755, 0.1075)  4 O 2.00-2.12
O (0.7499, 0.3742, 0.9586)  4 V 2.00-2.12
V (0.7497, 0.6245, 0.8925)  4 O 2.00-2.12
O (0.2501, 0.6257, 0.0414)  4 V 2.00-2.12
O (0.7499, 0.8742, 0.9586)  4 V 2.00-2.12
O (0.2501, 0.1258, 0.0414)  4 V 2.00-2.12
V (0.7497, 0.1245, 0.8925)  4 O 2.00-2.12



Density functional theory data (PBE with a Hubbard U) for a relaxed MgMn6O8F4 crystal.

Its space-group type is P1 (1). The magnetization is 24.0 μB per cell. For the energy above the most stable polymorph in this dataset, the calculation gives 86 kJ/mol of formula units. The calculation puts the energy with MP2020 corrections at -7.73 eV per atom. As for the energy of formation from the pure elements: -2.27 eV per atom.

a = 7.1762 Å, b = 5.9421 Å, c = 5.7716 Å
α = 81.81°, β = 74.94°, γ = 71.02°
With the nearest neighbours (Å) after each atom.
Fractional coordinates of all 19 atoms:
Mn (0.3293, 0.7226, 0.6193)  3 O 2.07-2.16, 2 F 2.08-2.11
Mn (0.9778, 0.9238, 0.0859)  4 O 1.99-2.06, 1 F 2.07
O (0.6484, 0.5331, 0.5690)  3 Mn 1.99-2.16, 1 Mg 2.15
O (0.6814, 0.6939, 0.0071)  3 Mn 1.94-1.98
Mn (0.8305, 0.6764, 0.6651)  4 O 1.96-1.99
O (0.3479, 0.9980, 0.3598)  3 Mn 1.92-2.07
Mg (0.8200, 0.1811, 0.6758)  2 F 1.96-1.98, 4 O 2.05-2.15
O (0.9900, 0.6420, 0.3325)  3 Mn 1.94-2.03
O (0.7189, 0.1643, 0.0428)  3 Mn 1.97-2.16, 1 Mg 2.05
F (0.3723, 0.4487, 0.3971)  3 Mn 2.01-2.24
F (0.6123, 0.0383, 0.6643)  1 Mg 1.96, 1 Mn 2.07
Mn (0.6993, 0.4181, 0.2416)  4 O 1.96-2.01
O (0.2969, 0.3133, 0.0155)  2 Mn 1.81-1.88
O (0.9537, 0.1781, 0.3097)  3 Mn 2.00-2.06, 1 Mg 2.08
Mn (0.1687, 0.3162, 0.3294)  4 O 1.81-2.00, 1 F 2.01
F (0.2863, 0.8522, 0.9518)  3 Mn 2.07-2.13
O (0.0077, 0.8298, 0.7534)  3 Mn 1.98-2.14, 1 Mg 2.14
F (0.0384, 0.3097, 0.6891)  1 Mg 1.98, 1 Mn 2.04
Mn (0.4886, 0.0104, 0.0290)  3 O 1.88-1.94, 1 F 2.07



no.,DFT total energy (eV per atom)
1,-7.172
2,-6.488
3,-6.817